[1]
# Li10Cr2Fe3Co3O16

Crystalline Li10Cr2Fe3Co3O16 at its relaxed geometry (PBE+U, the Materials Project).

Cell: 5.962 5.962 9.834 Å, 89.85 89.85 60.05°
Atoms (fractional coordinates):
Li1 0.655 0.655 0.268
Fe1 0.157 0.650 0.280
Li2 0.798 0.382 0.049
O1 0.655 0.152 0.903
O2 0.812 0.321 0.406
O3 0.012 0.483 0.153
O4 0.660 0.660 0.898
O5 0.321 0.812 0.406
O6 0.983 0.983 0.168
O7 0.483 0.012 0.153
O8 0.501 0.501 0.654
Li3 0.382 0.798 0.049
O9 0.152 0.655 0.903
O10 0.509 0.966 0.653
O11 0.325 0.325 0.398
Cr1 0.322 0.322 0.022
Co1 0.333 0.815 0.782
O12 0.159 0.159 0.905
Li4 0.191 0.594 0.547
Li5 0.799 0.799 0.050
O13 0.991 0.991 0.672
Li6 0.992 0.992 0.975
O14 0.966 0.509 0.653
Fe2 0.822 0.822 0.778
Co2 0.156 0.156 0.281
O15 0.479 0.479 0.155
Cr2 0.654 0.654 0.525
Li7 0.183 0.183 0.552
Li8 0.988 0.988 0.480
Co3 0.815 0.333 0.782
Li9 0.594 0.191 0.547
O16 0.821 0.821 0.399
Fe3 0.650 0.157 0.280
Li10 0.321 0.321 0.768

Computed properties:
relative energy among the computed polymorphs: 0 meV per atom
ΔE_f: -1881.6 meV per atom
SG: No. 8

[2]
# Li4Nb3Fe3Sn2O16

Crystalline Li4Nb3Fe3Sn2O16 at its relaxed geometry (PBE+U, the Materials Project).

Cell: 6.196 6.196 10.021 Å, 89.20 89.20 59.33°
Atoms (fractional coordinates):
O1 0.684 0.684 0.095
O2 0.991 0.991 0.809
O3 0.989 0.989 0.302
Sn1 0.326 0.326 0.003
Nb1 0.651 0.174 0.714
Sn2 0.659 0.659 0.483
O4 0.484 0.484 0.843
O5 0.532 0.969 0.350
Fe1 0.343 0.829 0.211
Li1 0.670 0.670 0.904
O6 0.489 0.046 0.840
O7 0.522 0.522 0.343
Li2 0.007 0.007 0.482
O8 0.830 0.830 0.607
O9 0.158 0.158 0.094
Li3 0.003 0.003 0.997
Nb2 0.825 0.825 0.218
O10 0.046 0.489 0.840
Fe2 0.829 0.343 0.211
O11 0.969 0.532 0.350
Nb3 0.174 0.651 0.714
O12 0.153 0.665 0.099
Fe3 0.168 0.168 0.714
O13 0.340 0.340 0.594
O14 0.324 0.824 0.601
O15 0.824 0.324 0.601
O16 0.665 0.153 0.099
Li4 0.340 0.340 0.389

Computed properties:
ΔE_f: -2327.1 meV per atom
SG: No. 8

[3]
# NaLi2FePCO7

Crystalline NaLi2FePCO7 at its relaxed geometry (PBE+U, the Materials Project).

Cell: 6.694 8.657 10.094 Å, 87.72 89.44 89.65°
Atoms (fractional coordinates):
P1 0.252 0.406 0.354
Li1 0.470 0.277 0.112
P2 0.749 0.581 0.153
O1 0.069 0.311 0.919
Na1 0.998 0.745 0.874
Li2 0.243 0.095 0.374
O2 0.932 0.674 0.101
Li3 0.011 0.269 0.621
Li4 0.968 0.720 0.387
O3 0.244 0.852 0.226
O4 0.254 0.105 0.169
P3 0.246 0.410 0.861
O5 0.227 0.432 0.707
C1 0.752 0.033 0.374
Li5 0.237 0.105 0.879
C2 0.248 0.962 0.134
O6 0.247 0.573 0.406
O7 0.563 0.676 0.107
Fe1 0.248 0.649 0.604
Fe2 0.754 0.355 0.894
Fe3 0.248 0.648 0.120
C3 0.239 0.957 0.637
O8 0.753 0.569 0.308
O9 0.748 0.567 0.792
O10 0.243 0.420 0.199
O11 0.440 0.313 0.396
O12 0.074 0.305 0.408
O13 0.746 0.106 0.968
C4 0.757 0.064 0.846
Na2 0.500 0.748 0.875
O14 0.746 0.085 0.492
O15 0.433 0.310 0.898
O16 0.750 0.920 0.816
O17 0.253 0.571 0.922
O18 0.931 0.695 0.594
O19 0.250 0.841 0.725
O20 0.223 0.096 0.679
O21 0.247 0.927 0.010
Fe4 0.757 0.338 0.384
Na3 0.498 0.256 0.626
O22 0.245 0.927 0.513
Na4 0.749 0.917 0.125
O23 0.773 0.426 0.578
O24 0.775 0.171 0.753
O25 0.761 0.132 0.273
P4 0.754 0.586 0.638
O26 0.749 0.886 0.355
Li6 0.537 0.718 0.389
Li7 0.032 0.278 0.117
O27 0.746 0.413 0.102
O28 0.565 0.677 0.589
Li8 0.765 0.902 0.616

Computed properties:
relative energy among the computed polymorphs: 12 meV per atom
ΔE_f: -2312.2 meV per atom
SG: No. 1

[4]
# Li2FeSnP2O8

Crystalline Li2FeSnP2O8 at its relaxed geometry (PBE+U, the Materials Project).

Cell: 6.275 9.718 12.257 Å, 112.81 89.97 90.01°
Atoms (fractional coordinates):
O1 0.750 0.101 0.871
P1 0.750 0.766 0.888
Li1 0.000 0.500 0.000
O2 0.750 0.672 0.550
O3 0.049 0.923 0.641
O4 0.250 0.671 0.581
O5 0.447 0.190 0.171
O6 0.049 0.423 0.641
O7 0.552 0.810 0.829
O8 0.750 0.379 0.019
Fe1 0.750 0.879 0.705
O9 0.451 0.923 0.641
O10 0.052 0.190 0.172
O11 0.947 0.810 0.828
O12 0.450 0.423 0.641
O13 0.750 0.329 0.419
O14 0.750 0.601 0.871
O15 0.250 0.621 0.981
O16 0.250 0.121 0.981
Li2 0.500 0.000 0.500
O17 0.250 0.399 0.129
Fe2 0.250 0.122 0.295
P2 0.250 0.328 0.577
Li3 0.500 0.500 0.000
O18 0.250 0.828 0.450
O19 0.750 0.879 0.019
Sn1 0.750 0.353 0.220
O20 0.250 0.172 0.581
P3 0.750 0.172 0.423
P4 0.250 0.828 0.577
Li4 0.000 0.000 0.000
Li5 0.000 0.000 0.500
Li6 0.500 0.000 0.000
O21 0.550 0.077 0.359
O22 0.448 0.690 0.171
Li7 0.000 0.500 0.500
O23 0.053 0.690 0.172
Sn2 0.250 0.146 0.779
Sn3 0.250 0.647 0.780
O24 0.549 0.577 0.359
Fe3 0.250 0.620 0.294
P5 0.250 0.734 0.112
O25 0.250 0.899 0.129
Fe4 0.750 0.379 0.705
O26 0.951 0.077 0.359
O27 0.947 0.310 0.828
O28 0.951 0.577 0.359
P6 0.750 0.672 0.423
O29 0.250 0.328 0.450
Li8 0.500 0.500 0.500
P7 0.250 0.234 0.112
O30 0.750 0.172 0.550
P8 0.750 0.266 0.888
Sn4 0.750 0.854 0.221
O31 0.553 0.310 0.828
O32 0.750 0.828 0.419

Computed properties:
ΔE_f: -2412.5 meV per atom
SG: No. 4